No. 1
Compound: TiN2F5
Source: the Materials Project
Functional: PBE-GGA
Structure: relaxed

Structure (CIF):
```
data_TiN2F5
_chemical_formula_sum 'Ti4 N8 F20'
_cell_length_a 5.851
_cell_length_b 7.640
_cell_length_c 10.684
_cell_angle_alpha 90.00
_cell_angle_beta 90.00
_cell_angle_gamma 90.00
_space_group_name_H-M_alt 'P 1'
_space_group_IT_number 1
loop_
_space_group_symop_operation_xyz
'x,y,z'
loop_
_atom_site_label
_atom_site_fract_x
_atom_site_fract_y
_atom_site_fract_z
Ti1 0.000 0.000 0.000
Ti2 0.000 0.500 0.000
Ti3 0.500 0.000 0.500
Ti4 0.500 0.500 0.500
N1 0.020 0.250 0.355
N2 0.067 0.750 0.301
N3 0.433 0.250 0.801
N4 0.480 0.750 0.855
N5 0.520 0.250 0.145
N6 0.567 0.750 0.199
N7 0.933 0.250 0.699
N8 0.980 0.750 0.645
F1 0.081 0.250 0.991
F2 0.117 0.533 0.837
F3 0.117 0.967 0.837
F4 0.213 0.047 0.566
F5 0.213 0.453 0.566
F6 0.287 0.547 0.066
F7 0.287 0.953 0.066
F8 0.383 0.033 0.337
F9 0.383 0.467 0.337
F10 0.419 0.750 0.491
F11 0.581 0.250 0.509
F12 0.617 0.533 0.663
F13 0.617 0.967 0.663
F14 0.713 0.047 0.934
F15 0.713 0.453 0.934
F16 0.787 0.547 0.434
F17 0.787 0.953 0.434
F18 0.883 0.033 0.163
F19 0.883 0.467 0.163
F20 0.919 0.750 0.009
```

Properties
- symmetry = Pnma (62)
- total magnetic moment (Bohr magnetons per cell) = 20.000
- energy of formation (eV per atom) = -1.0245


No. 2
Compound: TiNF
Source: the Materials Project
Functional: PBE-GGA
Structure: relaxed

Structure (CIF):
```
data_TiNF
_chemical_formula_sum 'Ti2 N2 F2'
_cell_length_a 5.715
_cell_length_b 5.715
_cell_length_c 5.715
_cell_angle_alpha 140.06
_cell_angle_beta 140.06
_cell_angle_gamma 57.77
_space_group_name_H-M_alt 'P 1'
_space_group_IT_number 1
loop_
_space_group_symop_operation_xyz
'x,y,z'
loop_
_atom_site_label
_atom_site_fract_x
_atom_site_fract_y
_atom_site_fract_z
Ti1 0.000 0.000 0.000
Ti2 0.750 0.250 0.500
N1 0.569 0.069 0.500
N2 0.819 0.819 0.000
F1 0.013 0.513 0.500
F2 0.263 0.263 0.000
```

Properties
- symmetry = I4_1md (109)
- total magnetic moment (Bohr magnetons per cell) = 0.000
- energy of formation (eV per atom) = -2.2161


No. 3
Compound: U3NF13
Source: the Materials Project
Functional: PBE-GGA
Structure: relaxed

Structure (CIF):
```
data_U3NF13
_chemical_formula_sum 'U6 N2 F26'
_cell_length_a 7.996
_cell_length_b 7.315
_cell_length_c 8.437
_cell_angle_alpha 90.00
_cell_angle_beta 90.00
_cell_angle_gamma 90.00
_space_group_name_H-M_alt 'P 1'
_space_group_IT_number 1
loop_
_space_group_symop_operation_xyz
'x,y,z'
loop_
_atom_site_label
_atom_site_fract_x
_atom_site_fract_y
_atom_site_fract_z
U1 0.000 0.114 0.000
U2 0.000 0.886 0.500
U3 0.257 0.390 0.343
U4 0.257 0.610 0.843
U5 0.743 0.390 0.343
U6 0.743 0.610 0.843
N1 0.500 0.106 0.706
N2 0.500 0.894 0.206
F1 0.000 0.035 0.730
F2 0.000 0.369 0.177
F3 0.000 0.394 0.460
F4 0.000 0.606 0.960
F5 0.000 0.631 0.677
F6 0.000 0.965 0.230
F7 0.167 0.314 0.864
F8 0.167 0.686 0.364
F9 0.187 0.111 0.457
F10 0.187 0.889 0.957
F11 0.252 0.187 0.145
F12 0.252 0.813 0.645
F13 0.301 0.455 0.592
F14 0.301 0.545 0.092
F15 0.500 0.229 0.364
F16 0.500 0.443 0.844
F17 0.500 0.557 0.344
F18 0.500 0.771 0.864
F19 0.699 0.455 0.592
F20 0.699 0.545 0.092
F21 0.748 0.187 0.145
F22 0.748 0.813 0.645
F23 0.813 0.111 0.457
F24 0.813 0.889 0.957
F25 0.833 0.314 0.864
F26 0.833 0.686 0.364
```

Properties
- symmetry = Pmc2_1 (26)
- total magnetic moment (Bohr magnetons per cell) = 15.980
- energy of formation (eV per atom) = -3.3526


No. 4
Compound: UN4F8
Source: the Materials Project
Functional: PBE-GGA
Structure: relaxed

Structure (CIF):
```
data_UN4F8
_chemical_formula_sum 'U2 N8 F16'
_cell_length_a 8.111
_cell_length_b 8.111
_cell_length_c 13.341
_cell_angle_alpha 110.61
_cell_angle_beta 110.61
_cell_angle_gamma 53.04
_space_group_name_H-M_alt 'P 1'
_space_group_IT_number 1
loop_
_space_group_symop_operation_xyz
'x,y,z'
loop_
_atom_site_label
_atom_site_fract_x
_atom_site_fract_y
_atom_site_fract_z
U1 0.017 0.983 0.750
U2 0.983 0.017 0.250
N1 0.199 0.331 0.112
N2 0.306 0.454 0.415
N3 0.331 0.199 0.612
N4 0.454 0.306 0.915
N5 0.546 0.694 0.085
N6 0.669 0.801 0.388
N7 0.694 0.546 0.585
N8 0.801 0.669 0.888
F1 0.136 0.161 0.280
F2 0.152 0.795 0.134
F3 0.161 0.136 0.780
F4 0.169 0.396 0.605
F5 0.196 0.766 0.636
F6 0.205 0.848 0.366
F7 0.234 0.804 0.864
F8 0.396 0.169 0.105
F9 0.604 0.831 0.895
F10 0.766 0.196 0.136
F11 0.795 0.152 0.634
F12 0.804 0.234 0.364
F13 0.831 0.604 0.395
F14 0.839 0.864 0.220
F15 0.848 0.205 0.866
F16 0.864 0.839 0.720
```

Properties
- symmetry = C2/c (15)
- total magnetic moment (Bohr magnetons per cell) = 19.959
- energy of formation (eV per atom) = -0.9110


No. 5
Compound: Y3NF10
Source: the Materials Project
Functional: PBE-GGA
Structure: relaxed

Structure (CIF):
```
data_Y3NF10
_chemical_formula_sum 'Y6 N2 F20'
_cell_length_a 8.295
_cell_length_b 8.295
_cell_length_c 8.295
_cell_angle_alpha 60.00
_cell_angle_beta 60.00
_cell_angle_gamma 60.00
_space_group_name_H-M_alt 'P 1'
_space_group_IT_number 1
loop_
_space_group_symop_operation_xyz
'x,y,z'
loop_
_atom_site_label
_atom_site_fract_x
_atom_site_fract_y
_atom_site_fract_z
Y1 0.238 0.238 0.762
Y2 0.238 0.762 0.238
Y3 0.238 0.762 0.762
Y4 0.762 0.238 0.238
Y5 0.762 0.238 0.762
Y6 0.762 0.762 0.238
N1 0.250 0.250 0.250
N2 0.750 0.750 0.750
F1 0.110 0.110 0.110
F2 0.110 0.110 0.669
F3 0.110 0.669 0.110
F4 0.175 0.500 0.500
F5 0.175 0.500 0.825
F6 0.175 0.825 0.500
F7 0.331 0.890 0.890
F8 0.500 0.175 0.500
F9 0.500 0.175 0.825
F10 0.500 0.500 0.175
F11 0.500 0.500 0.825
F12 0.500 0.825 0.175
F13 0.500 0.825 0.500
F14 0.669 0.110 0.110
F15 0.825 0.175 0.500
F16 0.825 0.500 0.175
F17 0.825 0.500 0.500
F18 0.890 0.331 0.890
F19 0.890 0.890 0.331
F20 0.890 0.890 0.890
```

Properties
- symmetry = Fm-3m (225)
- total magnetic moment (Bohr magnetons per cell) = 4.029
- energy of formation (eV per atom) = -3.4181


No. 6
Compound: ZnNF3
Source: the Materials Project
Functional: PBE-GGA
Structure: relaxed

Structure (CIF):
```
data_ZnNF3
_chemical_formula_sum 'Zn1 N1 F3'
_cell_length_a 3.996
_cell_length_b 3.996
_cell_length_c 3.996
_cell_angle_alpha 90.00
_cell_angle_beta 90.00
_cell_angle_gamma 90.00
_space_group_name_H-M_alt 'P 1'
_space_group_IT_number 1
loop_
_space_group_symop_operation_xyz
'x,y,z'
loop_
_atom_site_label
_atom_site_fract_x
_atom_site_fract_y
_atom_site_fract_z
Zn1 0.000 0.000 0.000
N1 0.500 0.500 0.500
F1 0.000 0.000 0.500
F2 0.000 0.500 0.000
F3 0.500 0.000 0.000
```

Properties
- symmetry = Pm-3m (221)
- total magnetic moment (Bohr magnetons per cell) = 2.458
- energy of formation (eV per atom) = -0.5692


No. 7
Compound: NaF
Source: the Materials Project
Functional: PBE-GGA
Structure: relaxed

Structure (CIF):
```
data_NaF
_chemical_formula_sum 'Na1 F1'
_cell_length_a 3.321
_cell_length_b 3.321
_cell_length_c 3.321
_cell_angle_alpha 60.00
_cell_angle_beta 60.00
_cell_angle_gamma 60.00
_space_group_name_H-M_alt 'P 1'
_space_group_IT_number 1
loop_
_space_group_symop_operation_xyz
'x,y,z'
loop_
_atom_site_label
_atom_site_fract_x
_atom_site_fract_y
_atom_site_fract_z
Na1 0.000 0.000 0.000
F1 0.500 0.500 0.500
```

Properties
- symmetry = Fm-3m (225)
- energy of formation (eV per atom) = -2.9370


No. 8
Compound: Na2NbO4F5
Source: the Materials Project
Functional: PBE-GGA
Structure: relaxed

Structure (CIF):
```
data_Na2NbO4F5
_chemical_formula_sum 'Na4 Nb2 O8 F10'
_cell_length_a 10.731
_cell_length_b 6.127
_cell_length_c 6.127
_cell_angle_alpha 106.15
_cell_angle_beta 90.00
_cell_angle_gamma 90.00
_space_group_name_H-M_alt 'P 1'
_space_group_IT_number 1
loop_
_space_group_symop_operation_xyz
'x,y,z'
loop_
_atom_site_label
_atom_site_fract_x
_atom_site_fract_y
_atom_site_fract_z
Na1 0.142 0.127 0.873
Na2 0.358 0.627 0.373
Na3 0.642 0.373 0.627
Na4 0.858 0.873 0.127
Nb1 0.000 0.536 0.536
Nb2 0.500 0.036 0.036
O1 0.065 0.270 0.271
O2 0.244 0.988 0.514
O3 0.256 0.488 0.014
O4 0.435 0.770 0.771
O5 0.565 0.771 0.770
O6 0.744 0.014 0.488
O7 0.756 0.514 0.988
O8 0.935 0.271 0.270
F1 0.000 0.809 0.809
F2 0.002 0.334 0.730
F3 0.182 0.590 0.575
F4 0.318 0.090 0.075
F5 0.498 0.834 0.230
F6 0.500 0.309 0.309
F7 0.502 0.230 0.834
F8 0.682 0.075 0.090
F9 0.818 0.575 0.590
F10 0.998 0.730 0.334
```

Properties
- symmetry = Aea2 (41)
- total magnetic moment (Bohr magnetons per cell) = 8.010
- energy of formation (eV per atom) = -1.9072